[1]
A relaxed RbAgCl3 crystal. Source: the Materials Project database, functional PBE.

- total magnetization (μB per formula unit) = 0.00
- formation enthalpy at 0 K (kJ per mole of atoms) = -137.1
- total energy (eV/atom) = -2.92

abc: 5.1655 5.1671 5.1693
angles: 89.94 90.00 90.00
Positions (direct):
Rb  0.0000  0.9999  0.9950
Ag  0.5000  0.5033  0.4856
Cl  0.0000  0.5055  0.4855
Cl  0.5000  0.4980  0.9856
Cl  0.5000  0.0033  0.4883


[2]
A relaxed RbAgCl3 crystal. Source: the Materials Project database, functional PBE.

- formation enthalpy at 0 K (kJ per mole of atoms) = -136.9
- total energy (eV/atom) = -2.92

abc: 5.1604 5.1605 5.1607
angles: 90.00 90.00 90.00
Positions (direct):
Rb  0.0000  0.0020  0.9879
Ag  0.5000  0.5021  0.4880
Cl  0.0000  0.5017  0.4882
Cl  0.5000  0.5022  0.9880
Cl  0.5000  0.0020  0.4880